Entry 1:
Below is a relaxed structure of DyMn2O5, with properties calculated at the r2SCAN level.

Properties
Calculated volume, Å³ per atom: 10.88
Formation enthalpy at 0 K, eV/atom: -2.781
Calculated total energy, eV per atom: -14.1827
Magnetization, μB/atom: 0.875

Lattice parameters (Å, degrees): 7.2378 8.4722 5.6793 90.00 90.00 90.00
Space group Pbam (No. 55)
Asymmetric unit:
Dy  0.1372  0.1711  0.0000 [4 per cell]
Mn  0.0000  0.5000  0.2541 [4 per cell]
Mn  0.0881  0.8492  0.5000 [4 per cell]
O  0.0000  0.0000  0.2715 [4 per cell]
O  0.1059  0.7064  0.2435 [8 per cell]
O  0.1531  0.4332  0.5000 [4 per cell]
O  0.1634  0.4437  0.0000 [4 per cell]

---

Entry 2:
Below is a relaxed structure of ScMn4Al8, with properties calculated at the r2SCAN level.

Properties
Calculated volume, Å³ per atom: 15.14
Formation enthalpy at 0 K, eV/atom: -0.384
Calculated total energy, eV per atom: -9.9214
Magnetization, μB/atom: 0.797

Lattice parameters (Å, degrees): 8.7131 8.7131 5.1851 90.00 90.00 90.00
Space group I4/mmm (No. 139)
Asymmetric unit:
Sc  0.0000  0.0000  0.0000 [2 per cell]
Mn  0.2500  0.2500  0.2500 [8 per cell]
Al  0.0000  0.2234  0.5000 [8 per cell]
Al  0.0000  0.3373  0.0000 [8 per cell]

---

Entry 3:
Below is a relaxed structure of CeAl3, with properties calculated at the r2SCAN level.

Properties
Calculated volume, Å³ per atom: 21.17
Formation enthalpy at 0 K, eV/atom: -0.459
Calculated total energy, eV per atom: -13.2179
Magnetization, μB/atom: 0.230

Lattice parameters (Å, degrees): 6.5371 11.2496 4.6069 90.00 90.00 90.00
Space group Cmcm (No. 63)
Asymmetric unit:
Ce  0.0000  0.1658  0.2500 [4 per cell]
Al  0.0000  0.3603  0.7500 [4 per cell]
Al  0.2098  0.4296  0.2500 [8 per cell]

---

Entry 4:
Below is a relaxed structure of Sm3InN, with properties calculated at the r2SCAN level.

Properties
Calculated volume, Å³ per atom: 24.15
Formation enthalpy at 0 K, eV/atom: -1.106
Calculated total energy, eV per atom: -25.2870
Magnetization, μB/atom: 0.000

Lattice parameters (Å, degrees): 4.9429 4.9429 4.9429 90.00 90.00 90.00
Space group Pm-3m (No. 221)
Asymmetric unit:
Sm  0.0000  0.0000  0.5000 [3 per cell]
In  0.5000  0.5000  0.5000 [1 per cell]
N  0.0000  0.0000  0.0000 [1 per cell]

---

Entry 5:
Below is a relaxed structure of AcCdHg2, with properties calculated at the r2SCAN level.

Properties
Calculated volume, Å³ per atom: 27.22
Formation enthalpy at 0 K, eV/atom: -0.466
Calculated total energy, eV per atom: -47.3357
Magnetization, μB/atom: 0.000

Lattice parameters (Å, degrees): 7.5805 7.5805 7.5805 90.00 90.00 90.00
Space group Fm-3m (No. 225)
Asymmetric unit:
Ac  0.0000  0.0000  0.0000 [4 per cell]
Cd  0.0000  0.0000  0.5000 [4 per cell]
Hg  0.2500  0.2500  0.2500 [8 per cell]

---

Entry 6:
Below is a relaxed structure of V4Ag2O11, with properties calculated at the r2SCAN level.

Properties
Calculated volume, Å³ per atom: 11.96
Formation enthalpy at 0 K, eV/atom: -2.084
Calculated total energy, eV per atom: -11.7760
Magnetization, μB/atom: 0.000

Lattice parameters (Å, degrees): 15.2260 3.5581 9.4077 90.00 127.10 90.00
Space group C2/m (No. 12)
Asymmetric unit:
V  0.1344  0.0000  0.4221 [4 per cell]
V  0.1469  0.5000  0.1499 [4 per cell]
Ag  0.1152  0.5000  0.7222 [4 per cell]
O  0.9997  0.0000  0.3116 [4 per cell]
O  0.0000  0.5000  0.0000 [2 per cell]
O  0.1538  0.0000  0.2183 [4 per cell]
O  0.1659  0.5000  0.4098 [4 per cell]
O  0.1784  0.5000  0.0136 [4 per cell]
O  0.1817  0.0000  0.6436 [4 per cell]

---

Entry 7:
Below is a relaxed structure of FeSiP3O11, with properties calculated at the r2SCAN level.

Properties
Calculated volume, Å³ per atom: 12.18
Formation enthalpy at 0 K, eV/atom: -2.393
Calculated total energy, eV per atom: -9.6358
Magnetization, μB/atom: 0.313

Lattice parameters (Å, degrees): 8.3061 8.3061 39.1254 90.00 90.00 120.00
Space group R-3c (No. 167, hexagonal axes)
Asymmetric unit:
Fe  0.0000  0.0000  0.1576 [12 per cell]
Si  0.0000  0.0000  0.0402 [12 per cell]
P  0.0005  0.2933  0.2133 [36 per cell]
O  0.0000  0.0000  0.0000 [6 per cell]
O  0.0000  0.2091  0.2500 [18 per cell]
O  0.0419  0.2016  0.5535 [36 per cell]
O  0.0777  0.2204  0.8720 [36 per cell]
O  0.0894  0.2246  0.1885 [36 per cell]

---

Entry 8:
Below is a relaxed structure of Co2As2O7, with properties calculated at the r2SCAN level.

Properties
Calculated volume, Å³ per atom: 11.75
Formation enthalpy at 0 K, eV/atom: -1.288
Calculated total energy, eV per atom: -10.1688
Magnetization, μB/atom: 0.545

Lattice parameters (Å, degrees): 6.3964 6.7420 6.7441 79.44 70.75 70.80
Space group P1 (No. 1)
Asymmetric unit:
Co  0.0000  0.0000  0.0000 [1 per cell]
Co  0.0035  0.6239  0.3745 [1 per cell]
Co  0.4984  0.5008  0.4972 [1 per cell]
Co  0.5046  0.1237  0.8775 [1 per cell]
As  0.0192  0.5171  0.8925 [1 per cell]
As  0.4459  0.6203  0.9904 [1 per cell]
As  0.5573  0.0031  0.3850 [1 per cell]
As  0.9839  0.1064  0.4830 [1 per cell]
O  0.0740  0.6660  0.0406 [1 per cell]
O  0.1165  0.2592  0.9623 [1 per cell]
O  0.1225  0.5816  0.6335 [1 per cell]
O  0.2769  0.0033  0.3995 [1 per cell]
O  0.3587  0.8824  0.9134 [1 per cell]
O  0.3629  0.5426  0.2533 [1 per cell]
O  0.4974  0.4438  0.8171 [1 per cell]
O  0.5068  0.1804  0.5573 [1 per cell]
O  0.6393  0.0807  0.1222 [1 per cell]
O  0.6458  0.7410  0.4619 [1 per cell]
O  0.7262  0.6170  0.9805 [1 per cell]
O  0.8794  0.0424  0.7420 [1 per cell]
O  0.8884  0.3641  0.4119 [1 per cell]
O  0.9299  0.9581  0.3337 [1 per cell]